A geometry-optimized Ti2H4Pd structure, computed with PBE-GGA.

Cell and atoms, written as extended XYZ:
```
7
Lattice="5.935 2.317 2.721 3.049 5.242 3.350 -4.984 -4.656 -1.217" Properties=species:S:1:pos:R:3 pbc="T T T"
Ti 3.105 2.612 2.098
Ti 5.879 4.947 3.973
H 7.796 6.559 5.268
H 1.188 1.000 0.803
H 2.722 0.720 2.270
H 1.279 2.183 2.585
Pd 0.000 0.000 0.000
```

Output
- Total magnetic moment: 0.002 μB per atom
- Calculated formation energy: -0.37 eV per atom
- Crystal system: tetragonal



A geometry-optimized PrH3 structure, computed with PBE-GGA.

Cell and atoms, written as extended XYZ:
```
4
Lattice="-1.850 1.850 3.006 1.850 -1.850 3.006 1.850 1.850 -3.006" Properties=species:S:1:pos:R:3 pbc="T T T"
Pr 0.000 0.000 0.000
H 0.000 1.850 1.503
H 1.850 0.000 1.503
H 0.000 0.000 3.006
```

Output
- Calculated formation energy: -0.63 eV per atom
- MP2020-corrected energy: -4.365 eV per atom
- Crystal system: tetragonal



A geometry-optimized HPt3 structure, computed with PBE-GGA.

Cell and atoms, written as extended XYZ:
```
8
Lattice="-0.490 0.162 5.497 -0.435 -4.814 -2.669 4.159 -0.591 0.388" Properties=species:S:1:pos:R:3 pbc="T T T"
H 2.666 -3.598 0.344
H 0.568 -1.644 2.872
Pt 0.806 -1.771 0.124
Pt 0.357 -4.029 1.497
Pt 0.595 -4.108 -1.172
Pt 2.428 -3.471 3.092
Pt 2.877 -1.213 1.719
Pt 2.639 -1.135 4.387
```

Output
- Total magnetic moment: 0.000 μB per atom
- Calculated formation energy: 0.56 eV per atom
- Crystal system: hexagonal



Q: Among the records above, which one has the highest calculated formation energy?
A: HPt3



Q: The lowest calculated formation energy belongs to which entry?
A: PrH3



Q: Which value of calculated formation energy does entry 1 give?
A: -0.37 eV per atom